Entry from Materials Project: an optimized crystal structure of NaSmMnWO6 (PBE with a Hubbard U).

```
10
Lattice="-0.101 4.757 3.098 -4.791 3.020 0.410 -2.861 0.135 4.903" Properties=species:S:1:pos:R:3 pbc="T T T"
O -3.437 4.406 6.031
O -3.388 2.118 4.541
O -5.692 3.571 4.738
O -2.061 4.341 3.673
O -4.316 3.506 2.380
O -4.365 5.794 3.870
Na -5.815 5.934 6.308
Sm -1.938 1.978 2.103
W -3.876 3.956 4.205
Mn 0.000 0.000 0.000
```

Calculated values
**Symmetry**: No. 216
**Total magnetization**: 5.0 μB/f.u.
**Formation enthalpy at 0 K**: -237.0 kJ/mol of atoms